#a
An optimized crystal structure of Li4V3OF11. Source: the Materials Project, functional GGA+U.

a = 5.1995 Å, b = 5.4688 Å, c = 16.5339 Å
α = 79.69°, β = 89.62°, γ = 89.70°
Positions (direct):
Li  0.9648  0.6749  0.4491
Li  0.9990  0.0387  0.7720
V  0.9975  0.9991  0.9977
Li  0.4757  0.1289  0.8825
F  0.4093  0.4951  0.8858
O  0.1998  0.3534  0.7057
F  0.6847  0.1599  0.2990
F  0.8491  0.6811  0.7769
F  0.8109  0.3229  0.9727
F  0.1894  0.6718  0.0323
F  0.3165  0.1626  0.0226
F  0.9049  0.3134  0.4478
F  0.8146  0.9938  0.6330
V  0.4970  0.5012  0.9977
V  0.4922  0.8304  0.3340
F  0.1685  0.9913  0.3668
F  0.8201  0.6612  0.3112
Li  0.4590  0.5843  0.5425
F  0.1228  0.7306  0.5467
F  0.1252  0.0227  0.8869
V  0.0239  0.6508  0.6733
V  0.9960  0.3285  0.3328
O  0.3020  0.8548  0.7021
F  0.9056  0.9539  0.1134
F  0.4080  0.8792  0.2163
V  0.4747  0.1528  0.6727
Li  0.6754  0.1404  0.1741
Li  0.1838  0.6942  0.1580
F  0.6883  0.4900  0.6347
Li  0.0453  0.0983  0.5419
F  0.0959  0.3785  0.2194
Li  0.5004  0.5800  0.7688
F  0.3636  0.2391  0.5544
F  0.6161  0.7789  0.4482
F  0.5947  0.4539  0.1113
F  0.6776  0.8414  0.9659
F  0.6455  0.1610  0.7835
F  0.3017  0.5056  0.3623

Calculated values
Its spin magnetization is 6.00 μB per formula unit. As for the crystal system: triclinic.

#b
An optimized crystal structure of Li4V3OF11. Source: the Materials Project, functional GGA+U.

a = 5.2498 Å, b = 5.4803 Å, c = 16.1487 Å
α = 80.84°, β = 89.61°, γ = 88.13°
Positions (direct):
F  0.5835  0.4669  0.1175
F  0.4032  0.2141  0.5522
F  0.6936  0.1568  0.2969
F  0.4125  0.8657  0.2148
F  0.0784  0.3812  0.2137
F  0.3769  0.4998  0.8802
V  0.4935  0.1611  0.6666
F  0.8182  0.6598  0.3100
F  0.1858  0.0161  0.3542
Li  0.9773  0.0327  0.7776
F  0.3107  0.1855  0.0254
F  0.8824  0.6735  0.7920
F  0.3097  0.5159  0.3661
F  0.5856  0.7961  0.4489
F  0.3306  0.8378  0.7068
V  0.5001  0.8376  0.3300
V  0.4969  0.4972  0.0013
Li  0.5440  0.5709  0.7742
Li  0.3310  0.5316  0.4882
F  0.1701  0.3045  0.7092
Li  0.2393  0.6622  0.1509
F  0.0876  0.7024  0.5421
Li  0.4878  0.1129  0.8979
F  0.6275  0.1481  0.7847
Li  0.8392  0.9594  0.5051
V  0.9950  0.0041  0.0003
O  0.7779  0.3083  0.9723
F  0.6458  0.4904  0.6555
Li  0.7810  0.1935  0.1764
V  0.0022  0.6534  0.6668
Li  0.0114  0.5553  0.9027
F  0.6996  0.8096  0.9590
F  0.9006  0.2805  0.4481
F  0.8210  0.0015  0.6348
F  0.1275  0.0452  0.8826
V  0.9994  0.3373  0.3332
O  0.2207  0.6913  0.0144
F  0.9198  0.9395  0.1179

Calculated values
Its spin magnetization is 6.00 μB per formula unit. As for the crystal system: triclinic.

Energies relative to the most stable structure, in kJ/mol of atoms: #a 0.5; #b 0.0.

#a
An optimized crystal structure of CaMn2P4O14. Source: the Materials Project, functional GGA+U.

a = 6.2877 Å, b = 7.5356 Å, c = 11.6332 Å
α = 101.46°, β = 85.45°, γ = 85.46°
Positions (direct):
O  0.1801  0.1642  0.8727
O  0.8100  0.3479  0.6173
Mn  0.8499  0.7032  0.9572
P  0.3569  0.6580  0.8937
O  0.5347  0.7109  0.9757
P  0.8805  0.5338  0.6762
O  0.6981  0.6905  0.6713
Mn  0.1536  0.7961  0.5374
O  0.5813  0.5246  0.1872
O  0.0942  0.5708  0.6177
P  0.6444  0.8500  0.5996
O  0.8101  0.8479  0.1173
O  0.1249  0.4743  0.1870
O  0.8512  0.3581  0.0191
O  0.1250  0.9742  0.6871
P  0.1161  0.9729  0.8206
P  0.6444  0.3501  0.0996
O  0.4646  0.2821  0.0237
Ca  0.3352  0.7490  0.1774
O  0.3117  0.8293  0.8338
O  0.6981  0.1905  0.1712
P  0.3568  0.1580  0.3937
Mn  0.1536  0.2962  0.0375
O  0.1801  0.6643  0.3727
O  0.8896  0.0307  0.3079
O  0.5346  0.2110  0.4757
O  0.1592  0.6500  0.9828
O  0.5813  0.0246  0.6871
Ca  0.3351  0.2490  0.6775
O  0.4646  0.7819  0.5237
O  0.1592  0.1502  0.4828
O  0.9130  0.4196  0.3762
O  0.4116  0.4911  0.8005
Mn  0.8498  0.2033  0.4572
O  0.0943  0.0709  0.1178
O  0.3117  0.3293  0.3337
O  0.9130  0.9195  0.8762
O  0.8512  0.8580  0.5190
O  0.4116  0.9910  0.3006
O  0.8897  0.5306  0.8079
P  0.1160  0.4729  0.3206
P  0.8806  0.0339  0.1762

Calculated values
Its spin magnetization is 0.00 μB per formula unit.

#b
An optimized crystal structure of CaMn2P4O14. Source: the Materials Project, functional GGA+U.

a = 5.1644 Å, b = 6.2327 Å, c = 10.0217 Å
α = 106.91°, β = 102.72°, γ = 104.80°
Positions (direct):
Ca  0.2045  0.7581  0.0284
O  0.2750  0.5536  0.7837
O  0.6766  0.8633  0.7643
P  0.2406  0.1524  0.3916
Mn  0.0832  0.6031  0.3672
O  0.3096  0.1494  0.2437
O  0.3070  0.1363  0.9996
P  0.4077  0.3244  0.1509
O  0.7306  0.4281  0.2165
O  0.9138  0.6747  0.5824
O  0.0674  0.3204  0.4238
P  0.7435  0.8462  0.6145
O  0.4679  0.7599  0.4911
Mn  0.9049  0.3878  0.6306
O  0.6740  0.8151  0.0091
O  0.9384  0.0945  0.6416
P  0.5978  0.6767  0.8461
O  0.2675  0.5153  0.1774
O  0.5115  0.2343  0.5165
O  0.0497  0.8957  0.3501
O  0.7787  0.5190  0.8196

Calculated values
Its spin magnetization is 8.00 μB per formula unit. As for the crystal system: triclinic.

Energies relative to the most stable structure, in kJ/mol of atoms: #a 0.0; #b 1.8.

#a
An optimized crystal structure of Li2Mn2Si3O9. Source: the Materials Project, functional GGA+U.

a = 10.6005 Å, b = 7.2818 Å, c = 11.9289 Å
α = 90.00°, β = 109.43°, γ = 89.99°
Positions (direct):
Mn  0.9505  0.3875  0.5860
Li  0.4210  0.4243  0.1892
O  0.4069  0.5541  0.6965
O  0.1335  0.9969  0.0876
Li  0.4210  0.0756  0.6892
O  0.8123  0.8019  0.5771
O  0.2364  0.5940  0.8156
Si  0.2665  0.0155  0.2054
Li  0.0529  0.5589  0.1176
Mn  0.0495  0.6125  0.4140
Li  0.5790  0.5757  0.8108
O  0.1171  0.0045  0.7861
O  0.2365  0.9060  0.3157
O  0.6239  0.5500  0.5723
O  0.6390  0.0690  0.4500
Si  0.7335  0.9845  0.7946
O  0.6390  0.4313  0.9501
O  0.4069  0.9457  0.1965
O  0.7636  0.4060  0.1844
Si  0.2386  0.3539  0.3453
O  0.6239  0.9502  0.0722
Mn  0.9505  0.1128  0.0860
O  0.8830  0.5045  0.7139
Mn  0.5663  0.3334  0.4518
Mn  0.4342  0.8329  0.0482
O  0.0921  0.6156  0.9650
O  0.7635  0.0940  0.6843
Si  0.7614  0.6461  0.6547
Si  0.7770  0.0244  0.5572
O  0.1877  0.3018  0.9229
O  0.8829  0.9955  0.2139
Li  0.0529  0.9410  0.6176
O  0.5931  0.0543  0.8035
Si  0.7614  0.8540  0.1547
Li  0.9471  0.0590  0.3824
O  0.8665  0.4969  0.4124
Li  0.5790  0.9244  0.3108
O  0.3761  0.4500  0.4277
O  0.8665  0.0031  0.9124
O  0.0921  0.8843  0.4649
Si  0.2230  0.9756  0.4428
O  0.2831  0.2420  0.2410
O  0.3761  0.0498  0.9278
Si  0.2665  0.4844  0.7055
O  0.9079  0.1157  0.5351
Mn  0.0495  0.8872  0.9140
O  0.8123  0.6982  0.0771
O  0.1877  0.1981  0.4229
Mn  0.4337  0.6666  0.5482
O  0.5931  0.4459  0.3035
O  0.7169  0.7580  0.7590
O  0.1170  0.4955  0.2861
Si  0.7335  0.5156  0.2945
Li  0.9471  0.4411  0.8824
Si  0.2229  0.5243  0.9428
O  0.3610  0.9310  0.5500
O  0.9079  0.3844  0.0350
O  0.2831  0.2579  0.7411
O  0.3610  0.5687  0.0499
O  0.1335  0.5031  0.5876
O  0.7169  0.7421  0.2589
Si  0.7771  0.4757  0.0572
Si  0.2386  0.1460  0.8453
Mn  0.5658  0.1671  0.9518

Calculated values
Its spin magnetization is 10.00 μB per formula unit. As for the crystal system: monoclinic.

#b
An optimized crystal structure of Li2Mn2Si3O9. Source: the Materials Project, functional GGA+U.

a = 10.1802 Å, b = 10.1802 Å, c = 12.5205 Å
α = 90.00°, β = 90.00°, γ = 120.00°
Positions (direct):
O  0.4546  0.8886  0.7006
Mn  0.8193  0.8295  0.8405
O  0.3433  0.0378  0.8466
Mn  0.6681  0.9743  0.2547
O  0.1831  0.1760  0.8427
O  0.1124  0.2701  0.0210
Si  0.1709  0.4982  0.7725
Li  0.2059  0.4935  0.0151
Si  0.0529  0.2004  0.9021
Li  0.8609  0.3658  0.3510
Mn  0.1705  0.9897  0.5072
O  0.7795  0.2010  0.1088
O  0.1577  0.8876  0.3543
O  0.0012  0.4636  0.1731
O  0.0441  0.3328  0.8276
O  0.8848  0.5079  0.5613
O  0.5888  0.8031  0.9034
Mn  0.0257  0.6938  0.9214
O  0.2143  0.4112  0.2368
Si  0.9553  0.1582  0.4481
O  0.0545  0.8755  0.7978
Si  0.2029  0.0447  0.7814
O  0.9006  0.4548  0.9729
Li  0.3330  0.3241  0.0829
Li  0.6342  0.4951  0.0177
O  0.7990  0.5786  0.7754
O  0.5452  0.4458  0.6396
Mn  0.0103  0.1807  0.1738
Mn  0.5216  0.1677  0.1559
O  0.7299  0.8423  0.6876
O  0.8427  0.7363  0.9932
O  0.4339  0.5454  0.0339
Si  0.7996  0.8525  0.5687
Si  0.3767  0.8492  0.5839
Si  0.6177  0.4748  0.7583
O  0.2756  0.6916  0.1953
O  0.5364  0.5376  0.8398
O  0.7549  0.2349  0.6777
Li  0.9911  0.6670  0.4163
Si  0.3274  0.8291  0.1058
Si  0.8572  0.3823  0.0916
O  0.5542  0.0994  0.3062
O  0.9474  0.8330  0.5598
O  0.6945  0.6567  0.1800
Li  0.5049  0.1391  0.6843
O  0.1969  0.7857  0.5701
O  0.4800  0.2451  0.0110
Mn  0.9949  0.6958  0.6681
O  0.1670  0.1144  0.2265
O  0.9622  0.3055  0.5133
Si  0.6726  0.4981  0.2348
Si  0.8418  0.7971  0.1147
O  0.4921  0.3769  0.2280
O  0.8240  0.0070  0.5093
Li  0.5065  0.7124  0.6817
Si  0.5252  0.1428  0.4250
O  0.6672  0.7113  0.4943
Li  0.4697  0.6197  0.1859
O  0.5121  0.9215  0.1101
Li  0.6759  0.0089  0.7496
Li  0.1500  0.5303  0.5192
O  0.4094  0.4879  0.4434
Si  0.4725  0.6233  0.9172
O  0.8856  0.0526  0.8932
Mn  0.6460  0.4784  0.4892
O  0.7348  0.4303  0.1383
O  0.4624  0.9988  0.5064
Si  0.5018  0.6726  0.4392
O  0.5233  0.7584  0.3268
O  0.2637  0.1064  0.6599
O  0.4160  0.7244  0.5286
Si  0.1475  0.9471  0.2354
O  0.3084  0.5840  0.8620
O  0.1114  0.5661  0.3672
O  0.0785  0.5906  0.7767
O  0.6955  0.2652  0.4717
Mn  0.3042  0.2991  0.3348
Li  0.3803  0.8500  0.8526
O  0.2351  0.4767  0.6602
O  0.8936  0.1573  0.3265
Si  0.1508  0.5275  0.2505
O  0.2887  0.9559  0.1609
O  0.8210  0.9455  0.1311
O  0.9930  0.8169  0.1760
Mn  0.3062  0.3319  0.5881
Mn  0.7009  0.0051  0.0015
O  0.2416  0.7649  0.9935
Li  0.2876  0.7941  0.3484
Si  0.8254  0.3274  0.5681
Si  0.5019  0.1746  0.9014
O  0.4214  0.2205  0.4421
O  0.6231  0.1152  0.8947
Mn  0.8323  0.3540  0.8226
O  0.5697  0.3045  0.8050
O  0.1245  0.1790  0.4644
O  0.7651  0.5200  0.3443

Calculated values
Its spin magnetization is 5.00 μB per formula unit. As for the crystal system: trigonal.

Energies relative to the most stable structure, in kJ/mol of atoms: #a 0.7; #b 0.0.

#a
An optimized crystal structure of V2Cu3H6O11. Source: the Materials Project, functional GGA+U.

a = 5.9517 Å, b = 8.9793 Å, c = 10.0392 Å
α = 70.36°, β = 72.76°, γ = 70.65°
Positions (direct):
H  0.1253  0.9789  0.2807
O  0.5527  0.2501  0.2498
H  0.3317  0.6039  0.9543
Cu  0.7515  0.4985  0.5002
Cu  0.5034  0.7516  0.2472
V  0.0995  0.6201  0.6305
O  0.8981  0.6546  0.5217
O  0.0006  0.4249  0.0889
H  0.3768  0.0198  0.7212
O  0.3081  0.0960  0.7873
O  0.3538  0.6757  0.5275
O  0.9474  0.7501  0.7498
O  0.1469  0.3236  0.4725
H  0.6151  0.4789  0.7807
O  0.6824  0.9102  0.2332
Cu  0.2498  0.9985  0.0002
O  0.3252  0.5900  0.2678
Cu  0.0009  0.7487  0.2546
O  0.8170  0.0900  0.7678
O  0.1927  0.9038  0.2133
O  0.8086  0.5960  0.2873
H  0.9325  0.3428  0.0802
O  0.4857  0.9249  0.5889
H  0.3870  0.8775  0.5598
O  0.9257  0.1546  0.0217
H  0.8821  0.5198  0.2212
V  0.8498  0.8795  0.8697
O  0.4430  0.1757  0.0275
O  0.6026  0.3437  0.4787
H  0.6445  0.8428  0.5802
O  0.1743  0.4102  0.7332
O  0.0133  0.0599  0.4205
V  0.4009  0.3795  0.3697
H  0.1757  0.3775  0.0598
Cu  0.4978  0.2516  0.7472
H  0.8557  0.1430  0.4262
Cu  0.9958  0.2487  0.7546
O  0.5750  0.8437  0.9787
O  0.6901  0.4038  0.7133
H  0.1101  0.1039  0.4543
H  0.5751  0.6430  0.9262
V  0.6499  0.1201  0.1305
O  0.0569  0.8236  0.9725
O  0.5063  0.5599  0.9205

Calculated values
Its spin magnetization is 3.00 μB per formula unit. As for the crystal system: monoclinic.

#b
An optimized crystal structure of V2Cu3H6O11. Source: the Materials Project, functional GGA+U.

a = 6.1808 Å, b = 6.1808 Å, c = 7.3284 Å
α = 85.01°, β = 85.01°, γ = 56.74°
Positions (direct):
Cu  0.9977  0.0023  0.0000
H  0.2587  0.2454  0.5026
O  0.8014  0.3357  0.8105
H  0.8444  0.8505  0.7478
O  0.3318  0.8104  0.8163
H  0.1158  0.1111  0.5727
O  0.4774  0.5226  0.5000
O  0.6643  0.1986  0.1895
O  0.6621  0.6642  0.1486
O  0.1896  0.6682  0.1837
O  0.3358  0.3379  0.8514
O  0.1358  0.2071  0.4658
H  0.7546  0.7413  0.4974
Cu  0.5004  0.0001  0.9999
O  0.7929  0.8642  0.5342
V  0.5004  0.5115  0.2524
H  0.8889  0.8842  0.4273
O  0.1545  0.1539  0.1131
O  0.8461  0.8455  0.8869
H  0.1495  0.1556  0.2522
V  0.4885  0.4996  0.7476
Cu  0.9999  0.4996  0.0001

Calculated values
Its spin magnetization is 2.97 μB per formula unit. As for the crystal system: monoclinic.

Energies relative to the most stable structure, in kJ/mol of atoms: #a 0.0; #b 1.2.